(1)
VASP calculation (GGA+U) on VF4 after structural relaxation.

Cell and atoms, written as POSCAR:
```
VF4
1.0
2.565 -2.526 -5.139
4.614 2.041 -3.731
3.887 -2.617 2.833
V F
2 8
direct
0.000 0.500 0.000
0.500 0.000 0.500
0.956 0.252 0.000
0.754 0.665 0.297
0.665 0.754 0.797
0.748 0.044 0.500
0.252 0.956 0.500
0.335 0.246 0.203
0.246 0.335 0.703
0.044 0.748 0.000
```

## Properties
- Crystal system: monoclinic
- Raw total energy: -56.4 eV/cell
- Formation energy from the elements: -2999 meV/atom

=====

(2)
VASP calculation (GGA+U) on VF4 after structural relaxation.

Cell and atoms, written as POSCAR:
```
VF4
1.0
5.241 0.000 0.000
0.000 5.425 0.000
0.000 2.712 5.022
V F
2 8
direct
0.500 0.500 0.000
0.000 0.000 0.000
0.193 0.660 0.073
0.693 0.840 0.927
0.413 0.651 0.661
0.913 0.849 0.339
0.587 0.349 0.339
0.087 0.151 0.661
0.307 0.160 0.073
0.807 0.340 0.927
```

## Properties
- Crystal system: monoclinic
- Raw total energy: -56.4 eV/cell
- Formation energy from the elements: -3005 meV/atom

=====

(3)
VASP calculation (GGA+U) on V3F10 after structural relaxation.

Cell and atoms, written as POSCAR:
```
V3F10
1.0
-4.825 2.893 -1.709
-1.536 -0.429 3.611
6.458 13.437 4.516
V F
6 20
direct
0.058 0.011 0.998
0.034 0.007 0.293
0.498 0.017 0.138
0.942 0.011 0.498
0.966 0.007 0.793
0.502 0.017 0.638
0.772 0.007 0.063
0.228 0.007 0.563
0.767 0.028 0.217
0.366 0.025 0.251
0.187 0.031 0.405
0.233 0.028 0.717
0.634 0.025 0.751
0.813 0.031 0.905
0.396 0.055 0.018
0.604 0.055 0.518
0.042 0.512 0.285
0.502 0.520 0.139
0.945 0.511 0.498
0.958 0.512 0.785
0.498 0.520 0.639
0.055 0.511 0.998
0.151 0.974 0.127
0.849 0.974 0.627
0.793 0.989 0.383
0.207 0.989 0.883
```

## Properties
- Crystal system: monoclinic
- Polymorph energy (0 for the lowest one): 0.036 eV per atom
- Spin magnetization: 10.00 μB per cell
- Raw total energy: -152.1 eV/cell
- Formation energy from the elements: -3029 meV/atom

=====

(4)
VASP calculation (GGA+U) on V2F7 after structural relaxation.

Cell and atoms, written as POSCAR:
```
V2F7
1.0
-1.684 -7.021 -1.827
4.842 -2.917 4.848
-5.428 4.761 1.827
V F
4 14
direct
0.500 0.500 0.500
0.000 0.500 0.000
0.000 0.500 0.500
0.500 0.000 0.500
0.052 0.794 0.743
0.564 0.818 0.625
0.193 0.818 0.253
0.552 0.809 0.257
0.250 0.408 0.158
0.064 0.439 0.747
0.693 0.439 0.375
0.307 0.561 0.625
0.936 0.561 0.253
0.750 0.592 0.842
0.448 0.191 0.743
0.807 0.182 0.747
0.436 0.182 0.375
0.948 0.206 0.257
```

## Properties
- Crystal system: orthorhombic
- Polymorph energy (0 for the lowest one): 0.000 eV per atom
- Raw total energy: -105.6 eV/cell
- Formation energy from the elements: -3098 meV/atom

=====

(5)
VASP calculation (GGA+U) on V5F11 after structural relaxation.

Cell and atoms, written as POSCAR:
```
V5F11
1.0
14.599 0.000 0.000
0.000 8.118 0.000
0.000 6.869 8.405
V F
20 44
direct
0.832 0.731 0.547
0.329 0.494 0.574
0.176 0.752 0.697
0.504 0.535 0.735
0.662 0.989 0.658
0.004 0.465 0.765
0.676 0.248 0.803
0.829 0.506 0.926
0.162 0.011 0.842
0.332 0.269 0.953
0.668 0.731 0.047
0.838 0.989 0.158
0.171 0.494 0.074
0.324 0.752 0.197
0.996 0.535 0.235
0.338 0.011 0.342
0.496 0.465 0.265
0.824 0.248 0.303
0.671 0.506 0.426
0.168 0.269 0.453
0.417 0.731 0.540
0.079 0.690 0.592
0.250 0.013 0.498
0.595 0.498 0.602
0.919 0.482 0.619
0.572 0.773 0.684
0.240 0.253 0.631
0.739 0.239 0.628
0.918 0.696 0.727
0.258 0.504 0.741
0.103 0.006 0.664
0.758 0.496 0.759
0.418 0.304 0.773
0.072 0.227 0.816
0.419 0.518 0.881
0.095 0.502 0.898
0.603 0.994 0.836
0.579 0.310 0.908
0.239 0.761 0.872
0.740 0.747 0.869
0.917 0.269 0.960
0.250 0.013 0.998
0.750 0.987 0.002
0.083 0.731 0.040
0.260 0.253 0.131
0.761 0.239 0.128
0.421 0.690 0.092
0.397 0.006 0.164
0.905 0.498 0.102
0.581 0.482 0.119
0.928 0.773 0.184
0.582 0.696 0.227
0.242 0.504 0.241
0.897 0.994 0.336
0.742 0.496 0.259
0.082 0.304 0.273
0.261 0.761 0.372
0.760 0.747 0.369
0.428 0.227 0.316
0.081 0.518 0.381
0.405 0.502 0.398
0.750 0.987 0.502
0.921 0.310 0.408
0.583 0.269 0.460
```

## Properties
- Crystal system: monoclinic
- Spin magnetization: 56.00 μB per cell
- Raw total energy: -402.2 eV/cell
- Formation energy from the elements: -2978 meV/atom

=====

(6)
VASP calculation (GGA+U) on VF4 after structural relaxation.

Cell and atoms, written as POSCAR:
```
VF4
1.0
-0.797 -2.985 3.684
0.202 -4.109 -3.286
5.547 -0.417 0.863
V F
2 8
direct
0.000 0.000 0.500
0.500 0.000 0.000
0.808 0.287 0.500
0.750 0.869 0.750
0.750 0.869 0.250
0.692 0.287 0.000
0.308 0.713 0.000
0.250 0.131 0.250
0.250 0.131 0.750
0.192 0.713 0.500
```

## Properties
- Crystal system: orthorhombic
- Raw total energy: -56.3 eV/cell
- Formation energy from the elements: -2992 meV/atom

=====

(7)
VASP calculation (GGA+U) on VF3 after structural relaxation.

Cell and atoms, written as POSCAR:
```
VF3
1.0
4.819 -2.646 0.000
4.819 2.646 0.000
3.366 0.000 4.347
V F
2 6
direct
0.500 0.500 0.500
0.000 0.000 0.000
0.750 0.152 0.348
0.348 0.750 0.152
0.848 0.652 0.250
0.652 0.250 0.848
0.250 0.848 0.652
0.152 0.348 0.750
```

## Properties
- Crystal system: trigonal
- Raw total energy: -49.2 eV/cell
- Formation energy from the elements: -3220 meV/atom

=====

(8)
VASP calculation (GGA+U) on VF4 after structural relaxation.

Cell and atoms, written as POSCAR:
```
VF4
1.0
-3.054 3.635 -1.809
-3.120 -4.971 -4.719
-5.747 -2.848 3.981
V F
4 16
direct
0.746 0.190 0.199
0.754 0.690 0.199
0.246 0.310 0.801
0.254 0.810 0.801
0.052 0.284 0.035
0.448 0.784 0.035
0.642 0.445 0.184
0.449 0.101 0.305
0.858 0.945 0.184
0.051 0.601 0.305
0.951 0.192 0.386
0.549 0.692 0.386
0.451 0.308 0.614
0.049 0.808 0.614
0.949 0.399 0.695
0.142 0.055 0.816
0.551 0.899 0.695
0.358 0.555 0.816
0.552 0.216 0.965
0.948 0.716 0.965
```

## Properties
- Crystal system: monoclinic
- Raw total energy: -112.4 eV/cell
- Formation energy from the elements: -2981 meV/atom

=====

(9)
VASP calculation (GGA+U) on VF4 after structural relaxation.

Cell and atoms, written as POSCAR:
```
VF4
1.0
-1.150 1.463 -2.468
-4.180 -2.684 0.356
-7.368 4.366 6.022
V F
2 8
direct
0.654 0.986 0.254
0.346 0.986 0.754
0.339 0.171 0.867
0.154 0.750 0.359
0.343 0.781 0.650
0.158 0.224 0.147
0.661 0.171 0.367
0.846 0.750 0.859
0.657 0.781 0.150
0.842 0.224 0.647
```

## Properties
- Crystal system: monoclinic
- Largest piezoelectric modulus: 0.1 C/m2
- Spin magnetization: 2.00 μB per cell
- Raw total energy: -56.0 eV/cell
- Formation energy from the elements: -2960 meV/atom

=====

(10)
VASP calculation (GGA+U) on VF4 after structural relaxation.

Cell and atoms, written as POSCAR:
```
VF4
1.0
-2.604 4.248 2.484
-4.813 -2.796 -0.265
4.743 -2.835 3.583
V F
2 8
direct
0.995 0.504 0.999
0.508 0.010 0.999
0.948 0.440 0.229
0.710 0.218 0.761
0.050 0.547 0.765
0.212 0.047 0.767
0.282 0.783 0.239
0.456 0.284 0.239
0.777 0.940 0.229
0.548 0.719 0.760
```

## Properties
- Crystal system: triclinic
- Spin magnetization: 2.00 μB per cell
- Raw total energy: -52.9 eV/cell
- Formation energy from the elements: -2655 meV/atom

=====

(11)
VASP calculation (GGA+U) on VF4 after structural relaxation.

Cell and atoms, written as POSCAR:
```
VF4
1.0
3.038 4.890 0.000
-3.038 4.890 0.000
0.000 0.046 4.987
V F
2 8
direct
0.339 0.661 0.250
0.661 0.339 0.750
0.695 0.511 0.427
0.254 0.971 0.379
0.029 0.746 0.121
0.489 0.305 0.073
0.971 0.254 0.879
0.511 0.695 0.927
0.305 0.489 0.573
0.746 0.029 0.621
```

## Properties
- Crystal system: monoclinic
- Spin magnetization: 2.00 μB per cell
- Raw total energy: -55.9 eV/cell
- Formation energy from the elements: -2947 meV/atom

=====

(12)
VASP calculation (GGA+U) on V3F10 after structural relaxation.

Cell and atoms, written as POSCAR:
```
V3F10
1.0
-4.344 -3.778 -2.867
4.664 -5.621 0.341
-2.850 -1.948 6.884
V F
6 20
direct
0.000 0.998 0.750
0.500 0.273 0.250
0.500 0.272 0.750
0.500 0.728 0.250
0.500 0.727 0.750
0.000 0.002 0.250
0.067 0.000 0.000
0.933 0.000 0.500
0.500 0.012 0.750
0.205 0.199 0.288
0.795 0.199 0.212
0.204 0.194 0.702
0.796 0.194 0.798
0.570 0.271 0.509
0.430 0.271 0.991
0.337 0.509 0.296
0.663 0.509 0.204
0.337 0.491 0.704
0.663 0.491 0.796
0.430 0.729 0.009
0.570 0.729 0.491
0.204 0.806 0.298
0.796 0.806 0.202
0.205 0.801 0.712
0.795 0.801 0.788
0.500 0.988 0.250
```

## Properties
- Crystal system: orthorhombic
- Polymorph energy (0 for the lowest one): 0.000 eV per atom
- Spin magnetization: 10.00 μB per cell
- Raw total energy: -153.0 eV/cell
- Formation energy from the elements: -3065 meV/atom